## one
First-principles (r2SCAN) data for a relaxed Sr crystal, as listed in the Materials Project database.

Lattice parameters (Å, degrees): 7.1536 6.8833 6.8833 74.33 58.69 58.69
Last column: nearest neighbours and their distance in Å.
Fractional positions:
Sr 0.1646 0.5000 0.1709  3 Sr 3.87-4.10
Sr 0.8354 0.5000 0.8291  3 Sr 3.87-4.10
Sr 0.3355 0.8291 0.5000  3 Sr 3.87-4.10
Sr 0.6645 0.1709 0.5000  3 Sr 3.87-4.10

## Properties
* crystal system: tetragonal

***

## two
First-principles (r2SCAN) data for a relaxed Sr crystal, as listed in the Materials Project database.

Lattice parameters (Å, degrees): 4.3216 4.3273 10.8773 89.94 78.43 119.97
Last column: nearest neighbours and their distance in Å.
Fractional positions:
Sr 0.5553 0.7776 0.6667  12 Sr 4.32-4.33
Sr 0.4447 0.2224 0.3333  12 Sr 4.32-4.33
Sr 0.0000 0.0000 0.0000  12 Sr 4.32-4.33

## Properties
* crystal system: monoclinic

***

Which structure wins on stability? two wins.

***

## one
First-principles (r2SCAN) data for a relaxed P crystal, as listed in the Materials Project database.

Lattice parameters (Å, degrees): 7.4079 11.9046 12.7404 70.33 72.21 80.93
Last column: nearest neighbours and their distance in Å.
Fractional positions:
P 0.1641 0.5851 0.8478  3 P 2.19-2.21
P 0.7349 0.0028 0.3692  3 P 2.19-2.23
P 0.4169 0.3305 0.8497  3 P 2.18-2.21
P 0.6811 0.3941 0.8470  3 P 2.19-2.22
P 0.5433 0.5806 0.6011  3 P 2.20-2.26
P 0.8359 0.4149 0.1522  3 P 2.19-2.21
P 0.5376 0.2296 0.7266  3 P 2.18-2.28
P 0.6714 0.0731 0.8306  3 P 2.18-2.24
P 0.3189 0.6059 0.1530  3 P 2.19-2.22
P 0.5831 0.6695 0.1503  3 P 2.18-2.21
P 0.2128 0.6650 0.4032  3 P 2.18-2.28
P 0.9579 0.2729 0.2766  3 P 2.18-2.27
P 0.2651 0.9972 0.6308  3 P 2.19-2.23
P 0.0996 0.1547 0.1728  3 P 2.18-2.23
P 0.5396 0.7365 0.6586  3 P 2.19-2.21
P 0.3957 0.6813 0.8449  3 P 2.19-2.22
P 0.4624 0.7704 0.2734  3 P 2.18-2.28
P 0.3286 0.9269 0.1694  3 P 2.18-2.24
P 0.7078 0.5218 0.2716  3 P 2.21-2.26
P 0.0169 0.0829 0.5673  3 P 2.20-2.30
P 0.9628 0.7747 0.3640  3 P 2.18-2.23
P 0.1272 0.9526 0.8207  3 P 2.23-2.28
P 0.7910 0.4836 0.6604  3 P 2.19-2.20
P 0.7044 0.1726 0.4061  3 P 2.19-2.27
P 0.8728 0.0474 0.1793  3 P 2.23-2.28
P 0.0421 0.7271 0.7234  3 P 2.18-2.27
P 0.0490 0.8726 0.1752  3 P 2.23-2.28
P 0.4567 0.4194 0.3989  3 P 2.20-2.26
P 0.2956 0.8274 0.5939  3 P 2.19-2.27
P 0.2922 0.4782 0.7284  3 P 2.21-2.26
P 0.2332 0.0223 0.2985  3 P 2.19-2.30
P 0.0372 0.2253 0.6360  3 P 2.18-2.23
P 0.7872 0.3350 0.5968  3 P 2.18-2.28
P 0.9004 0.8453 0.8272  3 P 2.18-2.23
P 0.9831 0.9171 0.4327  3 P 2.20-2.30
P 0.2090 0.5164 0.3396  3 P 2.19-2.20
P 0.4604 0.2635 0.3414  3 P 2.19-2.21
P 0.7668 0.9777 0.7015  3 P 2.19-2.30
P 0.9510 0.1274 0.8248  3 P 2.23-2.28
P 0.6043 0.3187 0.1551  3 P 2.19-2.22
P 0.6046 0.5469 0.9180  3 P 2.22-2.24
P 0.3954 0.4531 0.0820  3 P 2.22-2.24

## Properties
* crystal system: triclinic

***

## two
First-principles (r2SCAN) data for a relaxed P crystal, as listed in the Materials Project database.

Lattice parameters (Å, degrees): 5.6711 11.1370 11.3205 93.47 99.49 100.80
Last column: nearest neighbours and their distance in Å.
Fractional positions:
P 0.6122 0.6785 0.0190  3 P 2.18
P 0.8381 0.9475 0.3123  3 P 2.18-2.19
P 0.7686 0.9895 0.6283  3 P 2.18-2.19
P 0.9955 0.8597 0.6902  3 P 2.18-2.19
P 0.0045 0.1403 0.3098  3 P 2.18-2.19
P 0.3028 0.6871 0.4673  3 P 2.18
P 0.2314 0.0105 0.3717  3 P 2.18-2.19
P 0.1995 0.5103 0.3589  3 P 2.18
P 0.5086 0.3058 0.1715  3 P 2.18-2.19
P 0.8005 0.4897 0.6411  3 P 2.18
P 0.5922 0.1805 0.0353  3 P 2.18-2.19
P 0.9284 0.9988 0.8185  3 P 2.18-2.19
P 0.6972 0.3129 0.5327  3 P 2.18
P 0.2250 0.6269 0.9401  3 P 2.18
P 0.9322 0.6270 0.3660  3 P 2.18
P 0.4914 0.6942 0.8285  3 P 2.18-2.19
P 0.3878 0.3215 0.9810  3 P 2.18
P 0.4078 0.8195 0.9647  3 P 2.18-2.19
P 0.0678 0.3730 0.6340  3 P 2.18
P 0.7750 0.3731 0.0599  3 P 2.18
P 0.7645 0.3195 0.7286  3 P 2.18
P 0.2355 0.6805 0.2714  3 P 2.18
P 0.0716 0.0012 0.1815  3 P 2.18-2.19
P 0.1619 0.0525 0.6877  3 P 2.18-2.19

## Properties
* crystal system: triclinic

***

Which structure wins on stability? one wins.

***

## one
First-principles (r2SCAN) data for a relaxed La3Hg crystal, as listed in the Materials Project database.

Lattice parameters (Å, degrees): 7.2423 7.2423 5.5459 90.00 90.00 120.00
Last column: nearest neighbours and their distance in Å.
Fractional positions:
La 0.3615 0.1808 0.7500  6 La 3.31-3.58, 4 Hg 3.37-3.63
La 0.8192 0.6385 0.7500  6 La 3.31-3.58, 4 Hg 3.37-3.63
La 0.6385 0.8192 0.2500  6 La 3.31-3.58, 4 Hg 3.37-3.63
Hg 0.6667 0.3333 0.2500  12 La 3.37-3.63
La 0.1808 0.8192 0.2500  6 La 3.31-3.58, 4 Hg 3.37-3.63
La 0.1808 0.3615 0.2500  6 La 3.31-3.58, 4 Hg 3.37-3.63
La 0.8192 0.1808 0.7500  6 La 3.31-3.58, 4 Hg 3.37-3.63
Hg 0.3333 0.6667 0.7500  12 La 3.37-3.63

## Properties
* crystal system: hexagonal

***

## two
First-principles (r2SCAN) data for a relaxed La3Hg crystal, as listed in the Materials Project database.

Lattice parameters (Å, degrees): 6.2443 6.2443 6.2443 133.68 133.68 67.59
Last column: nearest neighbours and their distance in Å.
Fractional positions:
La 0.5000 0.5000 0.0000  4 Hg 3.47, 8 La 3.57
La 0.7500 0.2500 0.5000  8 La 3.47-3.57, 4 Hg 3.57
La 0.2500 0.7500 0.5000  8 La 3.47-3.57, 4 Hg 3.57
Hg 0.0000 0.0000 0.0000  12 La 3.47-3.57

## Properties
* crystal system: tetragonal

***

Which structure wins on stability? one wins.

***

## one
First-principles (r2SCAN) data for a relaxed Mg2GeO4 crystal, as listed in the Materials Project database.

Lattice parameters (Å, degrees): 4.9145 6.0274 10.2832 90.00 90.00 90.00
Last column: nearest neighbours and their distance in Å.
Fractional positions:
Ge 0.0643 0.2500 0.4050  4 O 1.74-1.79
O 0.2345 0.0206 0.3352  1 Ge 1.77
O 0.2345 0.4794 0.3352  1 Ge 1.77
Mg 0.0000 0.5000 0.0000  6 O 2.06-2.14
O 0.7111 0.2500 0.4081  1 Ge 1.74
O 0.2111 0.7500 0.0919  1 Ge 1.74
O 0.2655 0.4794 0.8352  1 Ge 1.77
Ge 0.5643 0.7500 0.0950  4 O 1.74-1.79
O 0.7889 0.2500 0.9081  1 Ge 1.74
Mg 0.0000 0.0000 0.0000  6 O 2.06-2.14
Ge 0.4357 0.2500 0.9050  4 O 1.74-1.79
O 0.7655 0.9794 0.6648  1 Ge 1.77
O 0.7345 0.5206 0.1648  1 Ge 1.77
Mg 0.4919 0.7500 0.7764  6 O 2.05-2.24
O 0.2293 0.2500 0.5601  1 Ge 1.79
Mg 0.0081 0.7500 0.2764  6 O 2.05-2.24
Mg 0.9919 0.2500 0.7236  6 O 2.05-2.24
Mg 0.5081 0.2500 0.2236  6 O 2.05-2.24
O 0.7707 0.7500 0.4399  1 Ge 1.79
O 0.7655 0.5206 0.6648  1 Ge 1.77
O 0.7345 0.9794 0.1648  1 Ge 1.77
Mg 0.5000 0.0000 0.5000  6 O 2.06-2.14
O 0.2655 0.0206 0.8352  1 Ge 1.77
O 0.7293 0.7500 0.9399  1 Ge 1.79
Mg 0.5000 0.5000 0.5000  6 O 2.06-2.14
O 0.2889 0.7500 0.5919  1 Ge 1.74
Ge 0.9357 0.7500 0.5950  4 O 1.74-1.79
O 0.2707 0.2500 0.0601  1 Ge 1.79

## Properties
* crystal system: orthorhombic

***

## two
First-principles (r2SCAN) data for a relaxed Mg2GeO4 crystal, as listed in the Materials Project database.

Lattice parameters (Å, degrees): 5.8336 5.8336 5.8336 60.00 60.00 60.00
Last column: nearest neighbours and their distance in Å.
Fractional positions:
O 0.2501 0.2501 0.2501  1 Ge 1.79
O 0.7499 0.2502 0.7499  1 Ge 1.79
O 0.7498 0.2501 0.2501  1 Ge 1.79
Ge 0.3750 0.3750 0.3750  4 O 1.79
Mg 0.0000 0.0000 0.0000  6 O 2.06
O 0.2501 0.2501 0.7498  1 Ge 1.79
O 0.2501 0.7498 0.2501  1 Ge 1.79
O 0.7499 0.7499 0.7499  1 Ge 1.79
Mg 0.5000 0.0000 0.0000  6 O 2.06
O 0.7499 0.7499 0.2502  1 Ge 1.79
Mg 0.0000 0.0000 0.5000  6 O 2.06
O 0.2502 0.7499 0.7499  1 Ge 1.79
Mg 0.0000 0.5000 0.0000  6 O 2.06
Ge 0.6250 0.6250 0.6250  4 O 1.79

## Properties
* crystal system: cubic

***

Which structure wins on stability? two wins.